A relaxed structure of RuI2N6, computed with PBE.

```
9
Lattice="5.537 0.000 0.000 0.007 5.538 0.000 2.742 2.730 4.887" Properties=species:S:1:pos:R:3 pbc="T T T"
Ru 0.000 0.000 0.000
I 2.741 5.499 3.268
I 5.513 2.729 3.271
N 4.048 4.034 4.173
N 4.053 6.959 4.169
N 2.604 2.671 1.434
N 5.546 5.531 1.688
N 6.974 4.035 4.172
N 6.980 6.962 4.176
```

Results
Total magnetization = 2.94 μB/cell
Electronic total energy = -5.08 eV/atom
Crystal system = triclinic